1.
Material: Cd4Te3Se
Method: DFT, r2SCAN
State: optimized geometry

Structure (POSCAR):
```
Cd4Te3Se
1.0
4.572 0.000 0.000
0.000 6.431 0.000
0.000 0.000 9.154
Cd Te Se
4 3 1
Cartesian
0.000 0.143 0.000
2.286 3.158 6.980
0.000 6.393 4.577
2.286 3.158 2.174
0.000 4.825 6.927
2.286 1.626 4.577
0.000 4.825 2.227
2.286 1.597 0.000
```

Values from the calculation:
For the total energy, the calculation gives -175.78 eV per cell. The value obtained for the energy of formation is -600 meV/atom.

2.
Material: Na2Ti3Cl8
Method: DFT, r2SCAN
State: optimized geometry

Structure (POSCAR):
```
Na2Ti3Cl8
1.0
6.228 0.030 4.809
2.379 5.755 4.809
0.045 0.030 7.868
Na Ti Cl
2 3 8
Cartesian
7.157 4.811 14.465
1.370 0.921 2.770
1.531 2.721 6.261
4.049 2.721 5.016
3.098 0.390 6.261
7.769 5.222 11.829
6.607 2.371 13.352
3.875 0.547 3.982
4.690 5.222 13.352
3.643 2.449 7.363
1.970 3.382 3.982
5.244 3.525 10.598
0.814 0.547 5.496
```

Values from the calculation:
For the total energy, the calculation gives -118.02 eV per cell. The value obtained for the energy of formation is -1758 meV/atom.